Entry from the Materials Project database: crystalline CdI2 at its relaxed geometry (PBE).

Computed properties:
Formation enthalpy at 0 K   -0.8384 eV per atom

```
data_CdI2
_chemical_formula_sum 'Cd10 I20'
_cell_length_a 4.3321
_cell_length_b 4.3321
_cell_length_c 74.7144
_cell_angle_alpha 90.00
_cell_angle_beta 90.00
_cell_angle_gamma 120.00
_space_group_name_H-M_alt 'P 3 m 1'
_space_group_IT_number 156
loop_
_space_group_symop_operation_xyz
'x,y,z'
'-y,x-y,z'
'-x+y,-x,z'
'-y,-x,z'
'-x+y,y,z'
'x,x-y,z'
loop_
_atom_site_label
_atom_site_type_symbol
_atom_site_fract_x
_atom_site_fract_y
_atom_site_fract_z
_atom_site_occupancy
Cd1 Cd 0.0000 0.0000 0.0000 1
Cd2 Cd 0.0000 0.0000 0.1000 1
Cd3 Cd 0.0000 0.0000 0.2000 1
Cd4 Cd 0.0000 0.0000 0.3000 1
Cd5 Cd 0.0000 0.0000 0.4000 1
Cd6 Cd 0.0000 0.0000 0.5000 1
Cd7 Cd 0.0000 0.0000 0.7000 1
Cd8 Cd 0.0000 0.0000 0.8000 1
Cd9 Cd 0.6667 0.3333 0.6000 1
Cd10 Cd 0.6667 0.3333 0.9000 1
I1 I 0.0000 0.0000 0.5769 1
I2 I 0.0000 0.0000 0.8769 1
I3 I 0.3333 0.6667 0.0231 1
I4 I 0.3333 0.6667 0.1231 1
I5 I 0.3333 0.6667 0.2231 1
I6 I 0.3333 0.6667 0.3231 1
I7 I 0.3333 0.6667 0.4231 1
I8 I 0.3333 0.6667 0.5231 1
I9 I 0.3333 0.6667 0.6231 1
I10 I 0.3333 0.6667 0.7231 1
I11 I 0.3333 0.6667 0.8231 1
I12 I 0.3333 0.6667 0.9231 1
I13 I 0.6667 0.3333 0.0769 1
I14 I 0.6667 0.3333 0.1769 1
I15 I 0.6667 0.3333 0.2769 1
I16 I 0.6667 0.3333 0.3769 1
I17 I 0.6667 0.3333 0.4769 1
I18 I 0.6667 0.3333 0.6769 1
I19 I 0.6667 0.3333 0.7769 1
I20 I 0.6667 0.3333 0.9769 1
```

---

Entry from the Materials Project database: crystalline CdI2 at its relaxed geometry (PBE).

Computed properties:
Formation enthalpy at 0 K   -0.8373 eV per atom

```
data_CdI2
_chemical_formula_sum 'Cd11 I22'
_cell_length_a 4.3448
_cell_length_b 4.3448
_cell_length_c 80.9452
_cell_angle_alpha 90.00
_cell_angle_beta 90.00
_cell_angle_gamma 120.00
_space_group_name_H-M_alt 'P 3 m 1'
_space_group_IT_number 156
loop_
_space_group_symop_operation_xyz
'x,y,z'
'-y,x-y,z'
'-x+y,-x,z'
'-y,-x,z'
'-x+y,y,z'
'x,x-y,z'
loop_
_atom_site_label
_atom_site_type_symbol
_atom_site_fract_x
_atom_site_fract_y
_atom_site_fract_z
_atom_site_occupancy
Cd1 Cd 0.0000 0.0000 0.0000 1
Cd2 Cd 0.0000 0.0000 0.0909 1
Cd3 Cd 0.0000 0.0000 0.2727 1
Cd4 Cd 0.0000 0.0000 0.4546 1
Cd5 Cd 0.0000 0.0000 0.6364 1
Cd6 Cd 0.0000 0.0000 0.8182 1
Cd7 Cd 0.3333 0.6667 0.3637 1
Cd8 Cd 0.3333 0.6667 0.5455 1
Cd9 Cd 0.3333 0.6667 0.7273 1
Cd10 Cd 0.3333 0.6667 0.9091 1
Cd11 Cd 0.6667 0.3333 0.1819 1
I1 I 0.0000 0.0000 0.1605 1
I2 I 0.0000 0.0000 0.3850 1
I3 I 0.0000 0.0000 0.5668 1
I4 I 0.0000 0.0000 0.7487 1
I5 I 0.0000 0.0000 0.9305 1
I6 I 0.3333 0.6667 0.0214 1
I7 I 0.3333 0.6667 0.1123 1
I8 I 0.3333 0.6667 0.2032 1
I9 I 0.3333 0.6667 0.2941 1
I10 I 0.3333 0.6667 0.4760 1
I11 I 0.3333 0.6667 0.6578 1
I12 I 0.3333 0.6667 0.8396 1
I13 I 0.6667 0.3333 0.0695 1
I14 I 0.6667 0.3333 0.2513 1
I15 I 0.6667 0.3333 0.3423 1
I16 I 0.6667 0.3333 0.4332 1
I17 I 0.6667 0.3333 0.5241 1
I18 I 0.6667 0.3333 0.6150 1
I19 I 0.6667 0.3333 0.7059 1
I20 I 0.6667 0.3333 0.7968 1
I21 I 0.6667 0.3333 0.8877 1
I22 I 0.6667 0.3333 0.9786 1
```

---

Entry from the Materials Project database: crystalline CdI2 at its relaxed geometry (PBE).

Computed properties:
Formation enthalpy at 0 K   -0.8380 eV per atom

```
data_CdI2
_chemical_formula_sum 'Cd8 I16'
_cell_length_a 4.3307
_cell_length_b 4.3307
_cell_length_c 59.4010
_cell_angle_alpha 90.00
_cell_angle_beta 90.00
_cell_angle_gamma 120.00
_space_group_name_H-M_alt 'P 3 m 1'
_space_group_IT_number 156
loop_
_space_group_symop_operation_xyz
'x,y,z'
'-y,x-y,z'
'-x+y,-x,z'
'-y,-x,z'
'-x+y,y,z'
'x,x-y,z'
loop_
_atom_site_label
_atom_site_type_symbol
_atom_site_fract_x
_atom_site_fract_y
_atom_site_fract_z
_atom_site_occupancy
Cd1 Cd 0.0000 0.0000 0.0000 1
Cd2 Cd 0.0000 0.0000 0.1250 1
Cd3 Cd 0.0000 0.0000 0.2500 1
Cd4 Cd 0.0000 0.0000 0.3750 1
Cd5 Cd 0.0000 0.0000 0.5000 1
Cd6 Cd 0.0000 0.0000 0.7500 1
Cd7 Cd 0.6667 0.3333 0.6251 1
Cd8 Cd 0.6667 0.3333 0.8751 1
I1 I 0.0000 0.0000 0.5960 1
I2 I 0.0000 0.0000 0.8460 1
I3 I 0.3333 0.6667 0.0291 1
I4 I 0.3333 0.6667 0.1541 1
I5 I 0.3333 0.6667 0.2791 1
I6 I 0.3333 0.6667 0.4041 1
I7 I 0.3333 0.6667 0.5291 1
I8 I 0.3333 0.6667 0.6541 1
I9 I 0.3333 0.6667 0.7791 1
I10 I 0.3333 0.6667 0.9041 1
I11 I 0.6667 0.3333 0.0959 1
I12 I 0.6667 0.3333 0.2209 1
I13 I 0.6667 0.3333 0.3459 1
I14 I 0.6667 0.3333 0.4709 1
I15 I 0.6667 0.3333 0.7209 1
I16 I 0.6667 0.3333 0.9709 1
```

---

Entry from the Materials Project database: crystalline CdI2 at its relaxed geometry (PBE).

Computed properties:
Formation enthalpy at 0 K   -0.8386 eV per atom

```
data_CdI2
_chemical_formula_sum 'Cd12 I24'
_cell_length_a 4.3337
_cell_length_b 4.3337
_cell_length_c 90.4298
_cell_angle_alpha 90.00
_cell_angle_beta 90.00
_cell_angle_gamma 120.00
_space_group_name_H-M_alt 'P 3 m 1'
_space_group_IT_number 156
loop_
_space_group_symop_operation_xyz
'x,y,z'
'-y,x-y,z'
'-x+y,-x,z'
'-y,-x,z'
'-x+y,y,z'
'x,x-y,z'
loop_
_atom_site_label
_atom_site_type_symbol
_atom_site_fract_x
_atom_site_fract_y
_atom_site_fract_z
_atom_site_occupancy
Cd1 Cd 0.0000 0.0000 0.0000 1
Cd2 Cd 0.0000 0.0000 0.0833 1
Cd3 Cd 0.0000 0.0000 0.1667 1
Cd4 Cd 0.0000 0.0000 0.2500 1
Cd5 Cd 0.0000 0.0000 0.4166 1
Cd6 Cd 0.0000 0.0000 0.6667 1
Cd7 Cd 0.0000 0.0000 0.8333 1
Cd8 Cd 0.3333 0.6667 0.3333 1
Cd9 Cd 0.3333 0.6667 0.5000 1
Cd10 Cd 0.3333 0.6667 0.5833 1
Cd11 Cd 0.3333 0.6667 0.7499 1
Cd12 Cd 0.3333 0.6667 0.9166 1
I1 I 0.0000 0.0000 0.3142 1
I2 I 0.0000 0.0000 0.4809 1
I3 I 0.0000 0.0000 0.5642 1
I4 I 0.0000 0.0000 0.7309 1
I5 I 0.0000 0.0000 0.8975 1
I6 I 0.3333 0.6667 0.0642 1
I7 I 0.3333 0.6667 0.1476 1
I8 I 0.3333 0.6667 0.2309 1
I9 I 0.3333 0.6667 0.3976 1
I10 I 0.3333 0.6667 0.6476 1
I11 I 0.3333 0.6667 0.8143 1
I12 I 0.3333 0.6667 0.9809 1
I13 I 0.6667 0.3333 0.0191 1
I14 I 0.6667 0.3333 0.1024 1
I15 I 0.6667 0.3333 0.1857 1
I16 I 0.6667 0.3333 0.2690 1
I17 I 0.6667 0.3333 0.3524 1
I18 I 0.6667 0.3333 0.4357 1
I19 I 0.6667 0.3333 0.5190 1
I20 I 0.6667 0.3333 0.6023 1
I21 I 0.6667 0.3333 0.6857 1
I22 I 0.6667 0.3333 0.7690 1
I23 I 0.6667 0.3333 0.8524 1
I24 I 0.6667 0.3333 0.9357 1
```

---

Entry from the Materials Project database: crystalline CdI2 at its relaxed geometry (PBE).

Computed properties:
Formation enthalpy at 0 K   -0.8391 eV per atom

```
data_CdI2
_chemical_formula_sum 'Cd13 I26'
_cell_length_a 4.3368
_cell_length_b 4.3368
_cell_length_c 100.6084
_cell_angle_alpha 90.00
_cell_angle_beta 90.00
_cell_angle_gamma 120.00
_space_group_name_H-M_alt 'P 3 m 1'
_space_group_IT_number 156
loop_
_space_group_symop_operation_xyz
'x,y,z'
'-y,x-y,z'
'-x+y,-x,z'
'-y,-x,z'
'-x+y,y,z'
'x,x-y,z'
loop_
_atom_site_label
_atom_site_type_symbol
_atom_site_fract_x
_atom_site_fract_y
_atom_site_fract_z
_atom_site_occupancy
Cd1 Cd 0.0000 0.0000 0.0000 1
Cd2 Cd 0.0000 0.0000 0.0769 1
Cd3 Cd 0.0000 0.0000 0.2308 1
Cd4 Cd 0.0000 0.0000 0.3846 1
Cd5 Cd 0.0000 0.0000 0.4615 1
Cd6 Cd 0.0000 0.0000 0.6922 1
Cd7 Cd 0.0000 0.0000 0.8462 1
Cd8 Cd 0.3333 0.6667 0.1539 1
Cd9 Cd 0.3333 0.6667 0.3076 1
Cd10 Cd 0.3333 0.6667 0.5384 1
Cd11 Cd 0.3333 0.6667 0.6153 1
Cd12 Cd 0.3333 0.6667 0.7692 1
Cd13 Cd 0.3333 0.6667 0.9231 1
I1 I 0.0000 0.0000 0.1368 1
I2 I 0.0000 0.0000 0.2905 1
I3 I 0.0000 0.0000 0.5214 1
I4 I 0.0000 0.0000 0.5983 1
I5 I 0.0000 0.0000 0.7521 1
I6 I 0.0000 0.0000 0.9060 1
I7 I 0.3333 0.6667 0.0597 1
I8 I 0.3333 0.6667 0.2137 1
I9 I 0.3333 0.6667 0.3675 1
I10 I 0.3333 0.6667 0.4444 1
I11 I 0.3333 0.6667 0.6751 1
I12 I 0.3333 0.6667 0.8291 1
I13 I 0.3333 0.6667 0.9829 1
I14 I 0.6667 0.3333 0.0171 1
I15 I 0.6667 0.3333 0.0940 1
I16 I 0.6667 0.3333 0.1710 1
I17 I 0.6667 0.3333 0.2479 1
I18 I 0.6667 0.3333 0.3247 1
I19 I 0.6667 0.3333 0.4017 1
I20 I 0.6667 0.3333 0.4786 1
I21 I 0.6667 0.3333 0.5555 1
I22 I 0.6667 0.3333 0.6324 1
I23 I 0.6667 0.3333 0.7093 1
I24 I 0.6667 0.3333 0.7863 1
I25 I 0.6667 0.3333 0.8633 1
I26 I 0.6667 0.3333 0.9401 1
```

---

Entry from the Materials Project database: crystalline CdI2 at its relaxed geometry (PBE).

Computed properties:
Largest piezoelectric modulus   0.01 C/m²
Formation enthalpy at 0 K   -0.8385 eV per atom

```
data_CdI2
_chemical_formula_sum 'Cd2 I4'
_cell_length_a 4.3349
_cell_length_b 4.3349
_cell_length_c 15.0005
_cell_angle_alpha 90.00
_cell_angle_beta 90.00
_cell_angle_gamma 120.00
_space_group_name_H-M_alt 'P 63 m c'
_space_group_IT_number 186
_space_group_name_Hall 'P 6c -2c'
loop_
_atom_site_label
_atom_site_type_symbol
_atom_site_fract_x
_atom_site_fract_y
_atom_site_fract_z
_atom_site_occupancy
Cd1 Cd 0.3333 0.6667 0.0000 1
I1 I 0.0000 0.0000 0.3851 1
I2 I 0.3333 0.6667 0.6149 1
```

---

For each record above, in turn, the calculated electronic total energy values are -1.909; -1.908; -1.909; -1.910; -1.910; -1.909 eV/atom.